[1]
meta-GGA r2SCAN AlCu3, optimized geometry; formation energy = -202.0 meV/atom; space group = No. 59; mass density = 7.52 Mg/m³; magnetic moment = 0.00 μB per formula unit
1.0
4.173 0.000 0.000
0.000 5.107 0.000
0.000 0.000 4.512
Al Cu
2 6
Cartesian
1.043 1.277 0.727
3.129 3.830 3.785
1.043 2.558 2.978
1.043 3.830 0.734
1.043 5.102 2.978
3.129 0.005 1.534
3.129 1.277 3.778
3.129 2.549 1.534

[2]
meta-GGA r2SCAN Zn3Pt, optimized geometry; formation energy = -434.6 meV/atom; space group = No. 139; mass density = 11.63 Mg/m³; magnetic moment = 0.00 μB per formula unit
1.0
3.743 0.000 0.000
0.000 3.743 0.000
0.000 0.000 7.975
Zn Pt
6 2
Cartesian
0.000 0.000 0.000
0.000 1.871 1.994
0.000 1.871 5.981
1.871 0.000 1.994
1.871 0.000 5.981
1.871 1.871 3.988
0.000 0.000 3.988
1.871 1.871 0.000

[3]
meta-GGA r2SCAN HfGa3, optimized geometry; formation energy = -415.5 meV/atom; space group = No. 139; mass density = 9.61 Mg/m³; magnetic moment = 0.00 μB per formula unit
1.0
3.857 0.000 0.000
0.000 3.857 0.000
0.000 0.000 9.003
Hf Ga
2 6
Cartesian
0.000 0.000 0.000
1.929 1.929 4.501
0.000 0.000 4.501
0.000 1.929 2.251
0.000 1.929 6.752
1.929 0.000 2.251
1.929 0.000 6.752
1.929 1.929 0.000

[4]
meta-GGA r2SCAN Na2FeO3, optimized geometry; excess energy over the best structure of this formula in the dataset = 17.5 meV/atom; formation energy = -1680.0 meV/atom; space group = No. 15; mass density = 3.92 Mg/m³; magnetic moment = 4.00 μB per formula unit
1.0
3.142 -4.611 0.000
3.142 4.611 0.000
-3.139 0.000 8.756
Na Fe O
8 4 12
Cartesian
0.784 3.466 5.207
-0.778 1.155 6.423
0.791 3.466 7.927
0.792 -1.155 2.045
2.352 1.155 6.711
2.353 -3.466 0.829
3.922 -1.155 2.333
2.361 -3.466 3.549
2.357 1.163 0.692
2.357 1.163 3.686
0.787 -1.163 5.070
0.787 -1.163 8.064
2.139 3.404 0.516
1.146 1.153 2.189
2.575 3.404 3.862
1.007 1.107 4.890
-0.424 -1.153 6.567
0.567 1.107 8.244
2.577 -1.107 0.512
3.568 1.153 2.189
2.137 -1.107 3.866
0.569 -3.404 4.894
1.998 -1.153 6.567
1.005 -3.404 8.240

[5]
meta-GGA r2SCAN ZrP2, optimized geometry; formation energy = -1067.9 meV/atom; space group = No. 62; mass density = 5.03 Mg/m³; magnetic moment = 0.00 μB per formula unit
1.0
6.526 0.000 0.000
0.000 3.526 0.000
0.000 0.000 8.788
Zr P
4 8
Cartesian
1.428 0.881 1.432
1.835 2.644 5.826
4.691 0.881 2.962
5.098 2.644 7.356
0.626 0.881 7.516
0.698 0.881 4.049
2.565 2.644 8.443
2.637 2.644 3.122
3.889 0.881 5.666
3.961 0.881 0.345
5.828 2.644 4.739
5.900 2.644 1.272

[6]
meta-GGA r2SCAN AlCuCl4, optimized geometry; formation energy = -1319.2 meV/atom; space group = No. 112; mass density = 2.62 Mg/m³; magnetic moment = 0.00 μB per formula unit
1.0
5.435 0.000 0.000
0.000 5.435 0.000
0.000 0.000 9.977
Al Cu Cl
2 2 8
Cartesian
0.000 2.718 2.494
2.718 0.000 7.483
0.000 0.000 0.000
0.000 0.000 4.988
1.266 1.477 3.716
1.266 3.958 1.272
1.477 1.266 8.705
1.477 4.169 6.261
3.958 1.266 6.261
3.958 4.169 8.705
4.169 1.477 1.272
4.169 3.958 3.716

Summary of raw total energy in eV/atom
-10.0201 -19.9895 -20.2854 -8.2565 -14.6526 -8.3506
(order as listed above)